## SnPSe3 (PBE-GGA)

Data for crystalline SnPSe3 at its relaxed geometry.

The value obtained for the volume is 27.21 Å³ per atom. For the formation energy, the calculation gives -12.046 kcal/mol of atoms. As for the crystal system: monoclinic.

The space group is P2_1/c (No. 14) and the conventional cell measures 6.960, 7.895 and 11.994 Å, with angles of 90.00, 124.34 and 90.00 degrees. The distinct sites, in fractional coordinates, are Sn at (0.249, 0.127, 0.213), P at (0.377, 0.603, 0.432), Se at (0.122, 0.010, 0.732), Se at (0.209, 0.694, 0.534) and Se at (0.401, 0.194, 0.562).

## SnPSe3 (PBE-GGA)

Data for crystalline SnPSe3 at its relaxed geometry.

The value obtained for the volume is 30.22 Å³ per atom. For the formation energy, the calculation gives -8.012 kcal/mol of atoms. As for the crystal system: monoclinic.

The space group is P2_1/c (No. 14) and the conventional cell measures 7.764, 7.729 and 11.069 Å, with angles of 90.00, 114.53 and 90.00 degrees. The distinct sites, in fractional coordinates, are Sn at (0.229, 0.121, 0.250), P at (0.023, 0.132, 0.552), Se at (0.091, 0.187, 0.921), Se at (0.266, 0.715, 0.952) and Se at (0.452, 0.671, 0.665).

## SnPSe3 (PBE-GGA)

Data for crystalline SnPSe3 at its relaxed geometry.

The value obtained for the volume is 27.32 Å³ per atom. For the formation energy, the calculation gives -12.120 kcal/mol of atoms. As for the largest piezoelectric modulus: 2.16 C/m². As for the crystal system: monoclinic.

The space group is Pc (No. 7) and the conventional cell measures 6.996, 7.904 and 12.006 Å, with angles of 90.00, 124.62 and 90.00 degrees. The distinct sites, in fractional coordinates, are Sn at (0.000, 0.116, 0.000), Sn at (0.454, 0.369, 0.502), P at (0.072, 0.358, 0.647), P at (0.323, 0.148, 0.778), Se at (0.100, 0.058, 0.267), Se at (0.305, 0.446, 0.154), Se at (0.474, 0.058, 0.667), Se at (0.573, 0.255, 0.981), Se at (0.822, 0.240, 0.447) and Se at (0.904, 0.449, 0.746).

## Th2PSe2 (PBE-GGA)

Data for crystalline Th2PSe2 at its relaxed geometry.

The value obtained for the volume is 33.34 Å³ per atom. For the formation energy, the calculation gives 3.867 kcal/mol of atoms. As for the crystal system: tetragonal.

The space group is P4/mmm (No. 123) and the conventional cell measures 3.344, 3.344 and 14.906 Å, with angles of 90.00, 90.00 and 90.00 degrees. The distinct sites, in fractional coordinates, are Th at (0.000, 0.000, 0.188), P at (0.000, 0.000, 0.000) and Se at (0.000, 0.000, 0.372).

## Tl2PSe3 (PBE-GGA)

Data for crystalline Tl2PSe3 at its relaxed geometry.

The value obtained for the volume is 30.55 Å³ per atom. For the formation energy, the calculation gives -12.872 kcal/mol of atoms. As for the crystal system: monoclinic.

The space group is P2_1/c (No. 14) and the conventional cell measures 12.605, 9.216 and 12.844 Å, with angles of 90.00, 100.60 and 90.00 degrees. The distinct sites, in fractional coordinates, are Tl at (0.023, 0.152, 0.310), Tl at (0.207, 0.539, 0.049), Tl at (0.303, 0.180, 0.248), Tl at (0.400, 0.610, 0.569), P at (0.066, 0.579, 0.484), P at (0.496, 0.074, 0.571), Se at (0.020, 0.222, 0.583), Se at (0.157, 0.023, 0.874), Se at (0.165, 0.623, 0.643), Se at (0.341, 0.665, 0.878), Se at (0.371, 0.237, 0.511) and Se at (0.448, 0.566, 0.196).

## Tl3PSe4 (PBE-GGA)

Data for crystalline Tl3PSe4 at its relaxed geometry.

The value obtained for the volume is 32.06 Å³ per atom. For the formation energy, the calculation gives -13.307 kcal/mol of atoms. As for the crystal system: orthorhombic.

The space group is Pnma (No. 62) and the conventional cell measures 9.471, 11.299 and 9.587 Å, with angles of 90.00, 90.00 and 90.00 degrees. The distinct sites, in fractional coordinates, are Tl at (0.067, 0.054, 0.194), Tl at (0.098, 0.750, 0.392), P at (0.220, 0.750, 0.972), Se at (0.005, 0.750, 0.067), Se at (0.160, 0.088, 0.533) and Se at (0.191, 0.750, 0.739).

| no. | DFT total energy (eV per atom) |
| --- | --- |
| 1 | -4.22 |
| 2 | -4.05 |
| 3 | -4.22 |
| 4 | -5.09 |
| 5 | -3.76 |
| 6 | -3.65 |